[1]
MnFe2O3: optimized geometry, PBE with a Hubbard U.

POSCAR file:
```
MnFe2O3
1.0
6.0205 3.2741 1.2499
-6.1916 -1.4665 2.8359
1.6851 -3.7606 1.7344
O Mn Fe
6 2 4
direct
0.5000 0.5000 0.0000
0.1643 0.8357 0.0000
0.6691 0.3309 0.5000
0.8357 0.1643 0.0000
0.3309 0.6691 0.5000
0.0000 0.0000 0.5000
0.6654 0.3346 0.0000
0.3346 0.6654 0.0000
0.0000 0.0000 0.0000
0.5000 0.5000 0.5000
0.1688 0.8312 0.5000
0.8312 0.1688 0.5000
```

=====

[2]
LiMn5Cu2O12 (PBE with a Hubbard U, optimized geometry); magnetic moment = 18.00 μB/cell
1.0
-1.9946 -4.5794 -1.0439
3.2021 -3.4718 -1.9319
3.3089 -2.7001 8.6477
O Mn Li Cu
12 5 1 2
direct
0.8063 0.6756 0.6187
0.3093 0.1792 0.1262
0.1792 0.3093 0.3738
0.2892 0.5321 0.8529
0.7401 0.4248 0.1505
0.5321 0.2892 0.6471
0.2642 0.9506 0.6504
0.7490 0.0650 0.3519
0.9506 0.2642 0.8496
0.6756 0.8063 0.8813
0.4248 0.7401 0.3495
0.0650 0.7490 0.1481
0.4149 0.4149 0.2500
0.9954 0.5106 0.9919
0.5106 0.9954 0.5081
0.0773 0.0773 0.2500
0.5864 0.5864 0.7500
0.9253 0.9253 0.7500
0.7452 0.7452 0.2500
0.2563 0.2563 0.7500

=====

[3]
LiFeCO4 (PBE with a Hubbard U, optimized geometry); magnetic moment = 20.00 μB/cell
1.0
3.1631 0.0000 0.0000
0.0000 9.3480 0.0000
0.0000 0.0000 9.3548
Fe O Li C
4 16 4 4
direct
0.2500 0.9301 0.8854
0.7500 0.0699 0.1146
0.7500 0.4301 0.6146
0.2500 0.5699 0.3854
0.7500 0.0024 0.7358
0.2500 0.7545 0.2610
0.7500 0.2455 0.7390
0.2500 0.1151 0.9959
0.2500 0.5024 0.7642
0.2500 0.7455 0.7610
0.7500 0.1276 0.5295
0.2500 0.3849 0.4959
0.7500 0.4976 0.2358
0.2500 0.9976 0.2642
0.7500 0.6151 0.5041
0.7500 0.8849 0.0041
0.2500 0.8724 0.4705
0.7500 0.3724 0.0295
0.2500 0.6276 0.9705
0.7500 0.2545 0.2390
0.7500 0.8084 0.5987
0.2500 0.1916 0.4013
0.7500 0.6916 0.0987
0.2500 0.3084 0.9013
0.2500 0.8733 0.3364
0.7500 0.1267 0.6636
0.2500 0.6267 0.8364
0.7500 0.3733 0.1636

=====

[4]
LiMn2C4O12 (PBE with a Hubbard U, optimized geometry); largest piezoelectric modulus = 3.52 C/m2; magnetic moment = 7.00 μB/cell
1.0
-5.2139 0.0000 0.0000
2.5148 6.2002 0.0000
-0.0200 -0.2384 -7.5799
O C Mn Li
12 4 2 1
direct
0.0923 0.2949 0.0912
0.5068 0.5836 0.7477
0.9891 0.0935 0.7613
0.1402 0.4431 0.3658
0.9989 0.9029 0.2525
0.3640 0.0818 0.8795
0.9041 0.7119 0.9080
0.4885 0.3757 0.2514
0.8980 0.6223 0.6165
0.6406 0.9257 0.1183
0.3646 0.1549 0.5885
0.5926 0.8200 0.4005
0.7740 0.6446 0.7610
0.2485 0.1151 0.7375
0.7355 0.8799 0.2634
0.2370 0.3688 0.2322
0.0045 0.0033 0.0027
0.5055 0.4835 0.4986
0.2162 0.8315 0.4425

=====

[5]
Li9Mn2Co5O16 (PBE with a Hubbard U, optimized geometry); magnetic moment = 12.00 μB/cell
1.0
-5.2379 -2.0591 1.8027
6.6133 -1.8284 7.4356
1.2502 5.7626 0.3988
Co O Li Mn
5 16 9 2
direct
0.5000 0.2500 0.2500
0.5104 0.0091 0.5055
0.5000 0.7500 0.7500
0.0000 0.7500 0.2500
0.4896 0.4909 0.9945
0.2293 0.1148 0.3571
0.7571 0.3782 0.5932
0.7580 0.1149 0.8791
0.7638 0.8858 0.6513
0.7611 0.8773 0.1152
0.7707 0.3852 0.1429
0.2362 0.6142 0.8487
0.7749 0.6238 0.3703
0.2429 0.1218 0.9068
0.2694 0.8708 0.6223
0.2251 0.8762 0.1297
0.7117 0.1246 0.3732
0.7306 0.6292 0.8777
0.2420 0.3851 0.6209
0.2883 0.3754 0.1268
0.2389 0.6227 0.3848
0.0023 0.0045 0.5064
0.0000 0.7500 0.7500
0.0000 0.2500 0.2500
0.5000 0.7500 0.2500
0.5000 0.2500 0.7500
0.9977 0.4955 0.9936
0.4996 0.0021 0.0021
0.5004 0.4979 0.4979
0.0000 0.2500 0.7500
0.0021 0.4955 0.4970
0.9979 0.0045 0.0030

=====

[6]
KMnO2 (PBE with a Hubbard U, optimized geometry); magnetic moment = 0.00 μB/cell
1.0
-0.6520 -4.2293 3.9354
-4.2279 5.8044 1.2424
-4.7290 -2.6650 -3.6475
Mn O K
4 8 4
direct
0.0000 0.0000 0.9999
0.5000 0.0000 0.9999
0.5000 0.5000 0.5001
0.0000 0.5000 0.5001
0.1939 0.3877 0.3420
0.6939 0.3877 0.3420
0.8062 0.6123 0.6583
0.3061 0.6123 0.6583
0.3061 0.1123 0.8418
0.6939 0.8878 0.1580
0.1939 0.8878 0.1580
0.8062 0.1123 0.8418
0.5000 0.5000 0.0001
0.0000 0.0000 0.4999
0.5000 0.0000 0.4999
0.0000 0.5000 0.0001

=====

[7]
SrLiLa7Fe3O16 (PBE with a Hubbard U, optimized geometry); magnetic moment = 14.00 μB/cell
1.0
5.5010 0.0000 0.0000
0.0000 5.5010 0.0000
0.0000 0.0000 12.7951
O Li La Fe Sr
16 1 7 3 1
direct
0.0000 0.0000 0.8179
0.7497 0.7497 0.5040
0.5000 0.0000 0.3194
0.7497 0.2503 0.5040
0.0000 0.0000 0.1827
0.2504 0.7496 0.9984
0.0000 0.5000 0.3194
0.2503 0.2503 0.5040
0.7496 0.2504 0.9984
0.2503 0.7497 0.5040
0.7496 0.7496 0.9984
0.5000 0.5000 0.8223
0.0000 0.5000 0.6810
0.5000 0.5000 0.1657
0.2504 0.2504 0.9984
0.5000 0.0000 0.6810
0.0000 0.0000 0.9992
0.0000 0.5000 0.1368
0.0000 0.5000 0.8655
0.5000 0.0000 0.8655
0.0000 0.0000 0.6428
0.0000 0.0000 0.3582
0.5000 0.0000 0.1368
0.5000 0.5000 0.6406
0.5000 0.0000 0.4974
0.0000 0.5000 0.4974
0.5000 0.5000 0.0045
0.5000 0.5000 0.3558

=====

[8]
MgFe3Co5O16 (PBE with a Hubbard U, optimized geometry); magnetic moment = 17.01 μB/cell
1.0
-5.3892 -2.0387 -0.3309
3.8727 -2.4442 3.6496
-2.4242 5.6730 6.4339
Co O Fe Mg
5 16 3 1
direct
0.1690 0.8276 0.1976
0.1699 0.3428 0.1977
0.6760 0.3392 0.9904
0.3316 0.6642 0.4824
0.3409 0.1656 0.7380
0.8435 0.6625 0.0989
0.8442 0.1836 0.0983
0.1768 0.8402 0.5965
0.4633 0.5100 0.3398
0.9498 0.4804 0.8478
0.0228 0.0115 0.3075
0.1786 0.3334 0.5953
0.3229 0.6625 0.0940
0.6356 0.3175 0.6064
0.0486 0.5244 0.3268
0.3435 0.1731 0.1056
0.0097 0.0033 0.8189
0.4632 0.9522 0.3400
0.6484 0.8218 0.5994
0.5130 0.0473 0.8560
0.5124 0.4655 0.8549
0.8315 0.6665 0.7095
0.6732 0.8371 0.2027
0.8371 0.1666 0.7078
0.3382 0.1679 0.4492

=====

[9]
Cs2ZrMnP3O12 (PBE with a Hubbard U, optimized geometry); magnetic moment = 16.06 μB/cell
1.0
-7.7814 6.8933 0.3854
-2.2310 -1.9611 -9.9696
-6.5336 -7.5401 2.9452
Mn Zr O P Cs
4 4 48 12 8
direct
0.8958 0.3958 0.1042
0.1042 0.8958 0.3958
0.3958 0.1042 0.8958
0.6042 0.6042 0.6042
0.3375 0.3375 0.3375
0.8375 0.1625 0.6625
0.1625 0.6625 0.8375
0.6625 0.8375 0.1625
0.8916 0.3399 0.7423
0.7830 0.2319 0.0500
0.7240 0.9969 0.0510
0.9804 0.5625 0.1674
0.9969 0.0510 0.7240
0.5500 0.7170 0.7681
0.0196 0.0625 0.3326
0.6674 0.5196 0.4375
0.5196 0.4375 0.6674
0.8326 0.4804 0.9375
0.8399 0.7577 0.1084
0.5031 0.9490 0.2240
0.4375 0.6674 0.5196
0.4804 0.9375 0.8326
0.7170 0.7681 0.5500
0.2240 0.5031 0.9490
0.2830 0.2681 0.9500
0.6601 0.2423 0.6084
0.4490 0.2760 0.4969
0.7319 0.4500 0.2170
0.3326 0.0196 0.0625
0.7760 0.0031 0.5510
0.6084 0.6601 0.2423
0.0625 0.3326 0.0196
0.2760 0.4969 0.4490
0.5625 0.1674 0.9804
0.2681 0.9500 0.2830
0.7577 0.1084 0.8399
0.1674 0.9804 0.5625
0.1084 0.8399 0.7577
0.1601 0.2577 0.3916
0.4500 0.2170 0.7319
0.3399 0.7423 0.8916
0.0031 0.5510 0.7760
0.7681 0.5500 0.7170
0.9500 0.2830 0.2681
0.4969 0.4490 0.2760
0.7423 0.8916 0.3399
0.0510 0.7240 0.9969
0.3916 0.1601 0.2577
0.5510 0.7760 0.0031
0.2319 0.0500 0.7830
0.2170 0.7319 0.4500
0.9375 0.8326 0.4804
0.0500 0.7830 0.2319
0.2577 0.3916 0.1601
0.2423 0.6084 0.6601
0.9490 0.2240 0.5031
0.2941 0.6280 0.5210
0.9790 0.7059 0.1280
0.3720 0.0210 0.2059
0.7941 0.8720 0.4790
0.1280 0.9790 0.7059
0.2059 0.3720 0.0210
0.8720 0.4790 0.7941
0.6280 0.5210 0.2941
0.0210 0.2059 0.3720
0.5210 0.2941 0.6280
0.4790 0.7941 0.8720
0.7059 0.1280 0.9790
0.8183 0.8183 0.8183
0.1817 0.3183 0.6817
0.9591 0.5409 0.4591
0.3183 0.6817 0.1817
0.5409 0.4591 0.9591
0.6817 0.1817 0.3183
0.0409 0.0409 0.0409
0.4591 0.9591 0.5409

=====

[10]
FeNi3Sn2P6O24 (PBE with a Hubbard U, optimized geometry); magnetic moment = 10.00 μB/cell
1.0
-0.8563 2.3056 8.1383
-7.0263 -2.3646 4.1618
0.6671 -5.9883 5.9979
O Fe Ni Sn P
24 1 3 2 6
direct
0.5964 0.2499 0.4380
0.3979 0.1781 0.9892
0.1027 0.5127 0.3214
0.8977 0.4894 0.6764
0.6049 0.8242 0.0036
0.4894 0.6764 0.8977
0.3214 0.1027 0.5127
0.4031 0.7484 0.5682
0.1781 0.9892 0.3979
0.7522 0.0929 0.9337
0.9046 0.0666 0.2496
0.7484 0.5682 0.4031
0.5682 0.4031 0.7484
0.8242 0.0036 0.6049
0.4380 0.5964 0.2499
0.2496 0.9046 0.0666
0.9337 0.7522 0.0929
0.6764 0.8977 0.4894
0.0929 0.9337 0.7522
0.2499 0.4380 0.5964
0.5127 0.3214 0.1027
0.0036 0.6049 0.8242
0.0666 0.2496 0.9046
0.9892 0.3979 0.1781
0.8505 0.8505 0.8505
0.1476 0.1476 0.1476
0.6466 0.6466 0.6466
0.3534 0.3534 0.3534
0.5003 0.5003 0.5003
0.0013 0.0013 0.0013
0.4528 0.7490 0.0459
0.9538 0.5462 0.2507
0.5462 0.2507 0.9538
0.7490 0.0459 0.4528
0.0459 0.4528 0.7490
0.2507 0.9538 0.5462

=====

[11]
CoSbO4 (PBE with a Hubbard U, optimized geometry); magnetic moment = 0.00 μB/cell
1.0
5.2018 1.2976 0.7109
1.5831 1.7355 4.8713
-2.8451 -4.1216 -2.0409
O Sb Co
4 1 1
direct
0.2033 0.2033 0.0000
0.7967 0.7967 0.0000
0.9628 0.4628 0.5000
0.5372 0.0372 0.5000
0.7500 0.2500 0.5000
0.0000 0.0000 0.0000

=====

[12]
Ti3FeSb2P6O24 (PBE with a Hubbard U, optimized geometry); magnetic moment = 6.00 μB/cell
1.0
7.7354 -4.3824 0.0000
7.7354 4.3824 0.0000
5.2526 0.0000 7.1731
O P Sb Ti Fe
24 6 2 3 1
direct
0.0641 0.2653 0.9142
0.5820 0.2351 0.4324
0.0199 0.6093 0.8009
0.3113 0.1160 0.4978
0.4947 0.6963 0.8855
0.9429 0.7312 0.0901
0.9962 0.3835 0.1959
0.8009 0.0199 0.6093
0.3835 0.1959 0.9962
0.0901 0.9429 0.7312
0.4324 0.5820 0.2351
0.1959 0.9962 0.3835
0.4978 0.3113 0.1160
0.2351 0.4324 0.5820
0.9142 0.0641 0.2653
0.6093 0.8009 0.0199
0.7692 0.5584 0.4194
0.8855 0.4947 0.6963
0.5584 0.4194 0.7692
0.2653 0.9142 0.0641
0.1160 0.4978 0.3113
0.6963 0.8855 0.4947
0.7312 0.0901 0.9429
0.4194 0.7692 0.5584
0.9591 0.5387 0.2536
0.5387 0.2536 0.9591
0.7516 0.0439 0.4576
0.0439 0.4576 0.7516
0.4576 0.7516 0.0439
0.2536 0.9591 0.5387
0.4972 0.4972 0.4972
0.9916 0.9916 0.9916
0.3514 0.3514 0.3514
0.6494 0.6494 0.6494
0.1457 0.1457 0.1457
0.8488 0.8488 0.8488

=====

no.,total energy (hartree per atom)
1,-0.260
2,-0.242
3,-0.251
4,-0.270
5,-0.214
6,-0.226
7,-0.279
8,-0.218
9,-0.269
10,-0.243
11,-0.219
12,-0.274